No. 1
{
  "formula": "PrGe",
  "functional": "PBE",
  "state": "relaxed",
  "spacegroup": "Pnma, No. 62",
  "cell": [[4.094, 0.000, 0.000], [0.000, 6.044, 0.000], [0.000, 0.000, 8.399]],
  "species": ["Pr", "Pr", "Ge", "Ge", "Pr", "Ge", "Ge", "Pr"],
  "frac_coords": [[0.250, 0.383, 0.681], [0.750, 0.617, 0.319], [0.250, 0.864, 0.539], [0.750, 0.136, 0.461], [0.250, 0.117, 0.181], [0.750, 0.364, 0.961], [0.250, 0.636, 0.039], [0.750, 0.883, 0.819]]
}

No. 2
{
  "formula": "TcC4IO4",
  "functional": "PBE",
  "state": "relaxed",
  "spacegroup": "P2_1/c, No. 14",
  "cell": [[12.444, 0.000, 0.000], [0.000, 10.161, 0.000], [0.000, 4.113, 12.669]],
  "species": ["Tc", "O", "O", "C", "C", "O", "I", "C", "O", "O", "O", "C", "C", "I", "I", "O", "C", "Tc", "O", "I", "C", "I", "C", "C", "O", "O", "C", "Tc", "C", "C", "O", "O", "O", "Tc", "C", "O", "C", "C", "O", "C", "C", "C", "O", "O", "O", "Tc", "I", "O", "C", "O", "O", "C", "O", "C", "C", "C", "O", "I", "C", "Tc", "C", "O", "O", "O", "I", "Tc", "O", "O", "Tc", "C", "C", "O", "C", "O", "O", "C", "C", "C", "C", "O"],
  "frac_coords": [[0.629, 0.394, 0.316], [0.730, 0.054, 0.554], [0.514, 0.832, 0.536], [0.034, 0.180, 0.407], [0.727, 0.830, 0.332], [0.523, 0.186, 0.974], [0.992, 0.616, 0.849], [0.282, 0.031, 0.887], [0.987, 0.942, 0.248], [0.023, 0.814, 0.526], [0.513, 0.942, 0.748], [0.285, 0.749, 0.711], [0.773, 0.830, 0.832], [0.245, 0.387, 0.821], [0.492, 0.384, 0.651], [0.486, 0.168, 0.464], [0.715, 0.251, 0.289], [0.129, 0.606, 0.184], [0.282, 0.609, 0.994], [0.508, 0.616, 0.349], [0.218, 0.031, 0.387], [0.255, 0.387, 0.321], [0.959, 0.972, 0.737], [0.466, 0.180, 0.907], [0.015, 0.406, 0.618], [0.013, 0.058, 0.752], [0.464, 0.597, 0.810], [0.871, 0.394, 0.816], [0.273, 0.170, 0.668], [0.459, 0.028, 0.763], [0.735, 0.163, 0.774], [0.765, 0.163, 0.274], [0.218, 0.609, 0.494], [0.369, 0.168, 0.789], [0.041, 0.028, 0.263], [0.235, 0.837, 0.726], [0.785, 0.251, 0.789], [0.536, 0.403, 0.190], [0.782, 0.391, 0.506], [0.775, 0.394, 0.937], [0.718, 0.969, 0.113], [0.964, 0.403, 0.690], [0.477, 0.814, 0.026], [0.770, 0.054, 0.054], [0.265, 0.837, 0.226], [0.131, 0.168, 0.289], [0.755, 0.613, 0.179], [0.270, 0.946, 0.446], [0.461, 0.746, 0.592], [0.282, 0.169, 0.099], [0.218, 0.169, 0.599], [0.036, 0.597, 0.310], [0.985, 0.594, 0.382], [0.275, 0.606, 0.563], [0.541, 0.972, 0.237], [0.725, 0.394, 0.437], [0.782, 0.831, 0.401], [0.008, 0.384, 0.151], [0.225, 0.606, 0.063], [0.869, 0.832, 0.711], [0.966, 0.820, 0.593], [0.515, 0.594, 0.882], [0.977, 0.186, 0.474], [0.230, 0.946, 0.946], [0.745, 0.613, 0.679], [0.371, 0.606, 0.684], [0.487, 0.058, 0.252], [0.718, 0.831, 0.901], [0.631, 0.832, 0.211], [0.215, 0.749, 0.211], [0.534, 0.820, 0.093], [0.718, 0.391, 0.006], [0.039, 0.746, 0.092], [0.485, 0.406, 0.118], [0.986, 0.832, 0.036], [0.782, 0.969, 0.613], [0.961, 0.254, 0.908], [0.227, 0.170, 0.168], [0.539, 0.254, 0.408], [0.014, 0.168, 0.964]]
}

No. 3
{
  "formula": "SrMg6TiO8",
  "functional": "PBE",
  "state": "relaxed",
  "spacegroup": "P4/mmm, No. 123",
  "de_polymorph_mev_per_atom": 27,
  "cell": [[8.828, 0.000, 0.000], [0.000, 4.514, 0.000], [0.000, 0.000, 4.514]],
  "species": ["Mg", "Mg", "O", "Mg", "Mg", "O", "Ti", "Sr", "Mg", "O", "O", "O", "O", "O", "O", "Mg"],
  "frac_coords": [[0.758, 0.500, 0.000], [0.500, 0.500, 0.500], [0.500, 0.500, 0.000], [0.242, 0.500, 0.000], [0.000, 0.500, 0.500], [0.769, 0.000, 0.000], [0.000, 0.000, 0.000], [0.500, 0.000, 0.000], [0.758, 0.000, 0.500], [0.231, 0.000, 0.000], [0.500, 0.000, 0.500], [0.000, 0.000, 0.500], [0.751, 0.500, 0.500], [0.249, 0.500, 0.500], [0.000, 0.500, 0.000], [0.242, 0.000, 0.500]]
}

No. 4
{
  "formula": "MgHg2Bi4O12",
  "functional": "PBE",
  "state": "relaxed",
  "spacegroup": "P1, No. 1",
  "de_polymorph_mev_per_atom": 45,
  "cell": [[5.208, -0.239, -0.090], [-0.226, 5.478, 0.105], [-0.165, 0.207, 10.479]],
  "species": ["O", "O", "O", "Hg", "O", "O", "Bi", "Bi", "O", "Bi", "Mg", "O", "Bi", "O", "O", "O", "O", "Hg", "O"],
  "frac_coords": [[0.773, 0.131, 0.501], [0.179, 0.832, 0.221], [0.678, 0.743, 0.676], [0.995, 0.977, 0.995], [0.134, 0.830, 0.506], [0.250, 0.323, 0.331], [0.953, 0.033, 0.328], [0.014, 0.013, 0.677], [0.206, 0.794, 0.818], [0.489, 0.493, 0.817], [0.317, 0.664, 0.382], [0.773, 0.181, 0.163], [0.504, 0.457, 0.148], [0.679, 0.704, 0.333], [0.690, 0.664, 0.982], [0.285, 0.326, 0.654], [0.299, 0.295, 0.978], [0.780, 0.507, 0.529], [0.800, 0.223, 0.804]]
}

No. 5
{
  "formula": "Na7Y2Nb2Si5PO24",
  "functional": "PBE",
  "state": "relaxed",
  "spacegroup": "P1, No. 1",
  "cell": [[9.320, -0.001, 0.018], [-4.660, 8.081, -0.019], [0.047, -0.031, 22.708]],
  "species": ["O", "O", "Na", "Si", "O", "O", "Na", "O", "O", "Na", "Si", "O", "Si", "O", "O", "Nb", "Na", "O", "O", "Y", "O", "O", "Na", "O", "O", "O", "Na", "Nb", "O", "O", "Y", "Na", "O", "Y", "Si", "O", "O", "O", "O", "O", "O", "P", "O", "O", "O", "O", "P", "O", "Si", "O", "O", "Na", "O", "Si", "O", "O", "O", "O", "Nb", "Si", "O", "Si", "O", "O", "O", "Y", "Na", "O", "O", "O", "O", "O", "O", "O", "Nb", "O", "O", "O", "Na", "Na", "O", "O", "Nb", "Na", "Y", "Na", "O", "Si", "Na", "O", "Si", "O", "O", "P", "O", "O", "Nb", "O", "O", "Si", "O", "Na", "Na", "Na", "Na", "Si", "Si", "Na", "Na", "Si", "O", "Y", "O", "O", "Si", "O", "O", "O", "Na", "O", "O", "O", "O"],
  "frac_coords": [[0.520, 0.666, 0.578], [0.854, 0.813, 0.587], [0.992, 0.004, 0.496], [0.963, 0.324, 0.586], [0.473, 0.308, 0.029], [0.186, 0.479, 0.256], [0.651, 0.016, 0.250], [0.514, 0.155, 0.924], [0.855, 0.337, 0.244], [0.038, 0.694, 0.580], [0.365, 0.039, 0.583], [0.361, 0.861, 0.861], [0.961, 0.637, 0.084], [0.136, 0.458, 0.977], [0.033, 0.201, 0.189], [0.328, 0.669, 0.314], [0.037, 0.347, 0.081], [0.890, 0.529, 0.143], [0.131, 0.683, 0.478], [0.666, 0.338, 0.182], [0.164, 0.195, 0.694], [0.479, 0.333, 0.746], [0.983, 0.999, 0.998], [0.513, 0.636, 0.860], [0.695, 0.526, 0.527], [0.624, 0.147, 0.421], [0.984, 0.628, 0.247], [0.329, 0.671, 0.814], [0.695, 0.169, 0.032], [0.799, 0.968, 0.690], [0.999, 0.006, 0.351], [0.317, 0.291, 0.914], [0.967, 0.819, 0.089], [0.339, 0.667, 0.018], [0.627, 0.970, 0.419], [0.330, 0.852, 0.578], [0.186, 0.039, 0.588], [0.006, 0.818, 0.413], [0.520, 0.705, 0.256], [0.830, 0.305, 0.530], [0.892, 0.359, 0.644], [0.678, 0.046, 0.084], [0.852, 0.375, 0.922], [0.323, 0.475, 0.081], [0.470, 0.113, 0.643], [0.835, 0.526, 0.027], [0.622, 0.653, 0.915], [0.181, 0.144, 0.086], [0.292, 0.300, 0.752], [0.029, 0.834, 0.694], [0.960, 0.145, 0.587], [0.984, 0.352, 0.748], [0.643, 0.531, 0.644], [0.343, 0.969, 0.919], [0.803, 0.792, 0.911], [0.138, 0.640, 0.361], [0.979, 0.783, 0.811], [0.810, 0.841, 0.197], [0.666, 0.333, 0.981], [0.029, 0.658, 0.418], [0.453, 0.337, 0.146], [0.007, 0.300, 0.248], [0.844, 0.486, 0.422], [0.142, 0.505, 0.862], [0.655, 0.116, 0.141], [0.331, 0.665, 0.515], [0.668, 0.321, 0.831], [0.222, 0.026, 0.311], [0.327, 0.449, 0.474], [0.545, 0.675, 0.970], [0.516, 0.378, 0.417], [0.495, 0.857, 0.362], [0.622, 0.483, 0.919], [0.316, 0.863, 0.977], [0.676, 0.332, 0.482], [0.667, 0.522, 0.245], [0.846, 0.046, 0.084], [0.808, 0.780, 0.311], [0.653, 0.959, 0.580], [0.300, 0.963, 0.077], [0.967, 0.180, 0.303], [0.294, 0.480, 0.756], [0.999, 0.999, 0.648], [0.638, 0.627, 0.748], [0.994, 0.002, 0.852], [0.336, 0.667, 0.662], [0.184, 0.994, 0.913], [0.295, 0.993, 0.252], [0.370, 0.017, 0.747], [0.548, 0.869, 0.478], [0.674, 0.634, 0.584], [0.520, 0.813, 0.755], [0.806, 0.986, 0.413], [0.347, 0.377, 0.416], [0.661, 0.143, 0.745], [0.166, 0.970, 0.195], [0.003, 0.996, 0.148], [0.855, 0.519, 0.746], [0.187, 0.707, 0.755], [0.006, 0.707, 0.752], [0.484, 0.140, 0.244], [0.321, 0.023, 0.414], [0.677, 0.333, 0.331], [0.340, 0.656, 0.162], [0.708, 0.680, 0.413], [0.031, 0.374, 0.919], [0.361, 0.325, 0.086], [0.311, 0.344, 0.582], [0.371, 0.360, 0.247], [0.698, 0.992, 0.749], [0.527, 0.877, 0.076], [0.667, 0.334, 0.682], [0.292, 0.812, 0.256], [0.149, 0.673, 0.078], [0.700, 0.708, 0.252], [0.204, 0.198, 0.411], [0.358, 0.490, 0.363], [0.217, 0.191, 0.810], [0.982, 0.680, 0.914], [0.819, 0.032, 0.803], [0.016, 0.195, 0.914], [0.150, 0.475, 0.578], [0.471, 0.167, 0.527]]
}

No. 6
{
  "formula": "SiO2",
  "functional": "PBE",
  "state": "relaxed",
  "spacegroup": "P4_12_12, No. 92",
  "e_ij_max_c_m2": 0.0,
  "cell": [[-4.268, 0.880, 2.620], [-2.703, -0.316, -4.295], [-0.810, -6.977, 1.024]],
  "species": ["O", "O", "O", "Si", "Si", "O", "O", "Si", "O", "O", "Si", "O"],
  "frac_coords": [[0.094, 0.241, 0.826], [0.259, 0.594, 0.076], [0.759, 0.906, 0.674], [0.294, 0.294, 0.000], [0.794, 0.206, 0.750], [0.594, 0.259, 0.924], [0.741, 0.406, 0.576], [0.706, 0.706, 0.500], [0.241, 0.094, 0.174], [0.406, 0.741, 0.424], [0.206, 0.794, 0.250], [0.906, 0.759, 0.326]]
}

No. 7
{
  "formula": "Ba2GdCu3SO6",
  "functional": "PBE",
  "state": "relaxed",
  "spacegroup": "Pmmm, No. 47",
  "cell": [[-0.470, -1.182, -3.607], [3.290, -2.565, 0.412], [-7.493, -8.979, 3.918]],
  "species": ["O", "O", "O", "Cu", "Ba", "Ba", "O", "S", "O", "Gd", "O", "Cu", "Cu"],
  "frac_coords": [[0.000, 0.500, 0.621], [0.500, 0.000, 0.617], [0.000, 0.500, 0.379], [0.000, 0.000, 0.637], [0.500, 0.500, 0.202], [0.500, 0.500, 0.798], [0.500, 0.000, 0.383], [0.000, 0.500, 0.000], [0.000, 0.000, 0.156], [0.500, 0.500, 0.500], [0.000, 0.000, 0.844], [0.000, 0.000, 0.363], [0.000, 0.000, 0.000]]
}

No. 8
{
  "formula": "Cd3Ga2Ge3O12",
  "functional": "PBE",
  "state": "relaxed",
  "spacegroup": "Ia-3d, No. 230",
  "cell": [[-6.209, -6.209, 6.209], [-6.209, 6.209, -6.209], [6.209, -6.209, -6.209]],
  "species": ["O", "Ga", "Cd", "O", "O", "O", "O", "O", "O", "Cd", "Ge", "O", "O", "Cd", "O", "Ge", "O", "O", "O", "O", "O", "Ge", "Ga", "O", "Ga", "O", "O", "O", "O", "O", "Ge", "Cd", "O", "O", "O", "Ge", "Ge", "O", "O", "Cd", "Ge", "O", "Ga", "Cd", "O", "Ga", "O", "O", "Cd", "Ga", "O", "Cd", "O", "O", "O", "O", "Ga", "O", "O", "O", "O", "O", "Cd", "O", "Cd", "Ge", "O", "O", "Ge", "Cd", "Ge", "O", "Ge", "O", "O", "Ge", "O", "O", "Ga", "Cd"],
  "frac_coords": [[0.683, 0.699, 0.080], [0.000, 0.500, 0.000], [0.875, 0.250, 0.625], [0.920, 0.603, 0.119], [0.016, 0.897, 0.317], [0.199, 0.183, 0.580], [0.817, 0.420, 0.801], [0.381, 0.897, 0.580], [0.016, 0.119, 0.199], [0.125, 0.750, 0.375], [0.125, 0.250, 0.875], [0.119, 0.920, 0.603], [0.183, 0.580, 0.199], [0.250, 0.125, 0.375], [0.699, 0.619, 0.516], [0.125, 0.875, 0.750], [0.420, 0.619, 0.103], [0.881, 0.080, 0.397], [0.301, 0.381, 0.484], [0.984, 0.103, 0.683], [0.484, 0.301, 0.381], [0.625, 0.250, 0.375], [0.500, 0.500, 0.000], [0.897, 0.317, 0.016], [0.500, 0.000, 0.500], [0.699, 0.080, 0.683], [0.317, 0.016, 0.897], [0.103, 0.420, 0.619], [0.199, 0.016, 0.119], [0.920, 0.317, 0.301], [0.875, 0.125, 0.250], [0.375, 0.250, 0.125], [0.103, 0.683, 0.984], [0.484, 0.183, 0.603], [0.619, 0.516, 0.699], [0.375, 0.625, 0.250], [0.250, 0.875, 0.125], [0.801, 0.817, 0.420], [0.801, 0.984, 0.881], [0.375, 0.125, 0.750], [0.625, 0.375, 0.750], [0.580, 0.381, 0.897], [0.000, 0.000, 0.000], [0.625, 0.875, 0.250], [0.183, 0.603, 0.484], [0.000, 0.000, 0.500], [0.397, 0.516, 0.817], [0.603, 0.484, 0.183], [0.250, 0.625, 0.875], [0.500, 0.000, 0.000], [0.516, 0.699, 0.619], [0.750, 0.875, 0.625], [0.420, 0.801, 0.817], [0.301, 0.920, 0.317], [0.881, 0.801, 0.984], [0.516, 0.817, 0.397], [0.500, 0.500, 0.500], [0.603, 0.119, 0.920], [0.397, 0.881, 0.080], [0.897, 0.580, 0.381], [0.619, 0.103, 0.420], [0.119, 0.199, 0.016], [0.125, 0.375, 0.250], [0.984, 0.881, 0.801], [0.625, 0.750, 0.875], [0.750, 0.125, 0.875], [0.317, 0.301, 0.920], [0.580, 0.199, 0.183], [0.875, 0.750, 0.125], [0.875, 0.625, 0.750], [0.750, 0.625, 0.375], [0.381, 0.484, 0.301], [0.250, 0.375, 0.625], [0.817, 0.397, 0.516], [0.080, 0.397, 0.881], [0.375, 0.750, 0.625], [0.683, 0.984, 0.103], [0.080, 0.683, 0.699], [0.000, 0.500, 0.500], [0.750, 0.375, 0.125]]
}

no.,ΔH_f (0 K) (eV/atom)
1,-0.83
2,-1.00
3,-2.76
4,-1.24
5,-2.98
6,-3.26
7,-2.00
8,-1.98